Entry 1:
# Mg3Si4Sb2O14, relaxed, DFT PBE-GGA
data_Mg3Si4Sb2O14
_chemical_formula_sum 'Mg12 Si16 Sb8 O56'
_cell_length_a 17.140
_cell_length_b 8.254
_cell_length_c 10.518
_cell_angle_alpha 90.00
_cell_angle_beta 124.13
_cell_angle_gamma 90.00
_symmetry_space_group_name_H-M 'C 1 2/c 1'
_symmetry_Int_Tables_number 15
loop_
_symmetry_equiv_pos_as_xyz
'x,y,z'
'-x,-y,-z'
'-x,y,-z+1/2'
'x,-y,z+1/2'
'x+1/2,y+1/2,z'
'-x+1/2,-y+1/2,-z'
'-x+1/2,y+1/2,-z+1/2'
'x+1/2,-y+1/2,z+1/2'
loop_
_atom_site_label
_atom_site_type_symbol
_atom_site_fract_x
_atom_site_fract_y
_atom_site_fract_z
Mg1 Mg 0.000 0.087 0.250
Mg2 Mg 0.169 0.364 0.397
Si1 Si 0.121 0.112 0.116
Si2 Si 0.194 0.222 0.713
Sb1 Sb 0.000 0.296 0.750
Sb2 Sb 0.000 0.500 0.000
O1 O 0.054 0.053 0.940
O2 O 0.077 0.231 0.192
O3 O 0.082 0.479 0.901
O4 O 0.110 0.346 0.688
O5 O 0.169 0.040 0.743
O6 O 0.208 0.214 0.573
O7 O 0.209 0.214 0.131
# Spin magnetization ... 0.0 μB/f.u.
# Energy ... -629.31 eV per cell
# Formation enthalpy at 0 K ... -62.9 eV per formula unit

=====

Entry 2:
# LaGaS3, relaxed, DFT PBE-GGA
data_LaGaS3
_chemical_formula_sum 'La12 Ga12 S36'
_cell_length_a 10.494
_cell_length_b 22.155
_cell_length_c 6.103
_cell_angle_alpha 90.00
_cell_angle_beta 90.00
_cell_angle_gamma 90.00
_symmetry_space_group_name_H-M 'P n a 21'
_symmetry_Int_Tables_number 33
loop_
_symmetry_equiv_pos_as_xyz
'x,y,z'
'-x,-y,z+1/2'
'-x+1/2,y+1/2,z+1/2'
'x+1/2,-y+1/2,z'
loop_
_atom_site_label
_atom_site_type_symbol
_atom_site_fract_x
_atom_site_fract_y
_atom_site_fract_z
La1 La 0.021 0.242 0.000
La2 La 0.201 0.559 0.511
La3 La 0.246 0.920 0.507
Ga1 Ga 0.024 0.373 0.451
Ga2 Ga 0.026 0.095 0.613
Ga3 Ga 0.229 0.232 0.493
S1 S 0.012 0.370 0.816
S2 S 0.025 0.195 0.490
S3 S 0.031 0.109 0.991
S4 S 0.034 0.464 0.279
S5 S 0.144 0.675 0.769
S6 S 0.173 0.942 0.035
S7 S 0.187 0.318 0.285
S8 S 0.214 0.049 0.530
S9 S 0.229 0.764 0.329
# Spin magnetization ... 0.0 μB/f.u.
# Energy ... -331.07 eV per cell
# Formation enthalpy at 0 K ... -8.7 eV per formula unit

=====

Entry 3:
# Y2O3, relaxed, DFT PBE-GGA
data_Y2O3
_chemical_formula_sum 'Y40 O60'
_cell_length_a 11.181
_cell_length_b 11.654
_cell_length_c 12.315
_cell_angle_alpha 91.30
_cell_angle_beta 93.95
_cell_angle_gamma 95.07
_symmetry_space_group_name_H-M 'P 1'
_symmetry_Int_Tables_number 1
loop_
_symmetry_equiv_pos_as_xyz
'x,y,z'
loop_
_atom_site_label
_atom_site_type_symbol
_atom_site_fract_x
_atom_site_fract_y
_atom_site_fract_z
Y1 Y 0.000 0.000 0.000
Y2 Y 0.000 0.354 0.422
Y3 Y 0.043 0.271 0.887
Y4 Y 0.135 0.677 0.056
Y5 Y 0.141 0.396 0.674
Y6 Y 0.153 0.917 0.487
Y7 Y 0.210 0.633 0.320
Y8 Y 0.241 0.058 0.763
Y9 Y 0.251 0.703 0.787
Y10 Y 0.259 0.015 0.241
Y11 Y 0.284 0.195 0.020
Y12 Y 0.309 0.238 0.502
Y13 Y 0.355 0.398 0.220
Y14 Y 0.377 0.548 0.561
Y15 Y 0.404 0.374 0.847
Y16 Y 0.424 0.853 0.416
Y17 Y 0.431 0.909 0.977
Y18 Y 0.441 0.603 0.057
Y19 Y 0.472 0.867 0.699
Y20 Y 0.531 0.131 0.212
Y21 Y 0.532 0.160 0.743
Y22 Y 0.583 0.613 0.372
Y23 Y 0.620 0.609 0.767
Y24 Y 0.642 0.884 0.215
Y25 Y 0.669 0.427 0.997
Y26 Y 0.675 0.129 0.484
Y27 Y 0.713 0.108 0.987
Y28 Y 0.716 0.348 0.265
Y29 Y 0.728 0.435 0.546
Y30 Y 0.745 0.976 0.739
Y31 Y 0.757 0.797 0.977
Y32 Y 0.794 0.314 0.762
Y33 Y 0.828 0.856 0.449
Y34 Y 0.892 0.589 0.278
Y35 Y 0.893 0.095 0.242
Y36 Y 0.923 0.556 0.876
Y37 Y 0.959 0.358 0.103
Y38 Y 0.972 0.123 0.579
Y39 Y 0.972 0.848 0.214
Y40 Y 0.992 0.625 0.626
O1 O 0.035 0.521 0.020
O2 O 0.053 0.681 0.799
O3 O 0.054 0.510 0.342
O4 O 0.056 0.689 0.215
O5 O 0.066 0.016 0.176
O6 O 0.104 0.008 0.632
O7 O 0.120 0.267 0.535
O8 O 0.125 0.099 0.901
O9 O 0.127 0.290 0.062
O10 O 0.184 0.582 0.631
O11 O 0.209 0.327 0.827
O12 O 0.230 0.837 0.332
O13 O 0.242 0.077 0.411
O14 O 0.278 0.579 0.169
O15 O 0.304 0.003 0.062
O16 O 0.307 0.710 0.966
O17 O 0.312 0.887 0.804
O18 O 0.320 0.410 0.401
O19 O 0.326 0.860 0.562
O20 O 0.346 0.395 0.655
O21 O 0.351 0.202 0.203
O22 O 0.359 0.139 0.643
O23 O 0.391 0.176 0.872
O24 O 0.392 0.384 0.035
O25 O 0.396 0.662 0.408
O26 O 0.430 0.672 0.709
O27 O 0.457 0.965 0.277
O28 O 0.512 0.540 0.908
O29 O 0.527 0.513 0.217
O30 O 0.548 0.982 0.843
O31 O 0.569 0.770 0.064
O32 O 0.579 0.008 0.615
O33 O 0.579 0.011 0.081
O34 O 0.579 0.550 0.545
O35 O 0.586 0.246 0.361
O36 O 0.601 0.340 0.834
O37 O 0.617 0.805 0.391
O38 O 0.650 0.258 0.107
O39 O 0.658 0.269 0.614
O40 O 0.670 0.793 0.770
O41 O 0.712 0.052 0.305
O42 O 0.722 0.145 0.813
O43 O 0.749 0.503 0.379
O44 O 0.750 0.612 0.929
O45 O 0.783 0.525 0.708
O46 O 0.804 0.474 0.150
O47 O 0.810 0.753 0.284
O48 O 0.811 0.996 0.569
O49 O 0.812 0.928 0.131
O50 O 0.824 0.960 0.907
O51 O 0.842 0.362 0.941
O52 O 0.848 0.229 0.470
O53 O 0.899 0.154 0.059
O54 O 0.905 0.287 0.262
O55 O 0.939 0.457 0.552
O56 O 0.942 0.195 0.732
O57 O 0.964 0.968 0.374
O58 O 0.978 0.763 0.511
O59 O 0.980 0.803 0.028
O60 O 0.992 0.422 0.780
# Spin magnetization ... 0.0 μB/f.u.
# Energy ... -887.17 eV per cell
# Formation enthalpy at 0 K ... -18.6 eV per formula unit

=====

Entry 4:
# Sb, relaxed, DFT PBE-GGA
data_Sb
_chemical_formula_sum 'Sb2'
_cell_length_a 3.785
_cell_length_b 3.785
_cell_length_c 3.785
_cell_angle_alpha 90.00
_cell_angle_beta 90.00
_cell_angle_gamma 90.00
_symmetry_space_group_name_H-M 'I m -3 m'
_symmetry_Int_Tables_number 229
_symmetry_space_group_name_Hall '-I 4 2 3'
loop_
_atom_site_label
_atom_site_type_symbol
_atom_site_fract_x
_atom_site_fract_y
_atom_site_fract_z
Sb1 Sb 0.000 0.000 0.000
# Spin magnetization ... 0.0 μB/f.u.
# Energy ... -7.78 eV per cell
# Formation enthalpy at 0 K ... 0.2 eV per formula unit

=====

Entry 5:
# Na3MgCu2O4, relaxed, DFT PBE-GGA
data_Na3MgCu2O4
_chemical_formula_sum 'Na6 Mg2 Cu4 O8'
_cell_length_a 11.645
_cell_length_b 3.257
_cell_length_c 8.928
_cell_angle_alpha 90.00
_cell_angle_beta 125.42
_cell_angle_gamma 90.00
_symmetry_space_group_name_H-M 'C 1 m 1'
_symmetry_Int_Tables_number 8
loop_
_symmetry_equiv_pos_as_xyz
'x,y,z'
'x,-y,z'
'x+1/2,y+1/2,z'
'x+1/2,-y+1/2,z'
loop_
_atom_site_label
_atom_site_type_symbol
_atom_site_fract_x
_atom_site_fract_y
_atom_site_fract_z
Na1 Na 0.000 0.000 0.000
Na2 Na 0.012 0.500 0.692
Na3 Na 0.235 0.500 0.360
Mg1 Mg 0.282 0.000 0.088
Cu1 Cu 0.248 0.000 0.662
Cu2 Cu 0.480 0.500 0.335
O1 O 0.169 0.500 0.002
O2 O 0.319 0.500 0.681
O3 O 0.392 0.000 0.381
O4 O 0.492 0.000 0.193
# Spin magnetization ... 0.9 μB/f.u.
# Energy ... -91.08 eV per cell
# Formation enthalpy at 0 K ... -14.7 eV per formula unit

=====

Entry 6:
# Sb4F15, relaxed, DFT PBE-GGA
data_Sb4F15
_chemical_formula_sum 'Sb32 F120'
_cell_length_a 11.412
_cell_length_b 11.182
_cell_length_c 19.658
_cell_angle_alpha 90.00
_cell_angle_beta 90.00
_cell_angle_gamma 90.00
_symmetry_space_group_name_H-M 'P c a 21'
_symmetry_Int_Tables_number 29
loop_
_symmetry_equiv_pos_as_xyz
'x,y,z'
'-x,-y,z+1/2'
'-x+1/2,y,z+1/2'
'x+1/2,-y,z'
loop_
_atom_site_label
_atom_site_type_symbol
_atom_site_fract_x
_atom_site_fract_y
_atom_site_fract_z
Sb1 Sb 0.071 0.085 0.000
Sb2 Sb 0.072 0.116 0.335
Sb3 Sb 0.084 0.360 0.168
Sb4 Sb 0.085 0.351 0.835
Sb5 Sb 0.100 0.382 0.520
Sb6 Sb 0.158 0.104 0.670
Sb7 Sb 0.242 0.742 0.171
Sb8 Sb 0.245 0.785 0.424
F1 F 0.009 0.014 0.424
F2 F 0.017 0.996 0.781
F3 F 0.019 0.009 0.563
F4 F 0.020 0.498 0.576
F5 F 0.032 0.492 0.789
F6 F 0.046 0.241 0.245
F7 F 0.047 0.660 0.980
F8 F 0.048 0.244 0.097
F9 F 0.060 0.258 0.754
F10 F 0.071 0.262 0.589
F11 F 0.076 0.685 0.361
F12 F 0.079 0.801 0.862
F13 F 0.089 0.819 0.481
F14 F 0.110 0.435 0.918
F15 F 0.112 0.848 0.167
F16 F 0.116 0.639 0.674
F17 F 0.130 0.203 0.880
F18 F 0.134 0.501 0.454
F19 F 0.150 0.600 0.178
F20 F 0.153 0.879 0.666
F21 F 0.173 0.259 0.466
F22 F 0.185 0.914 0.984
F23 F 0.200 0.919 0.366
F24 F 0.228 0.063 0.243
F25 F 0.229 0.069 0.097
F26 F 0.244 0.376 0.807
F27 F 0.245 0.267 0.175
F28 F 0.246 0.417 0.565
F29 F 0.248 0.725 0.075
F30 F 0.248 0.747 0.767
# Spin magnetization ... 0.0 μB/f.u.
# Energy ... -711.76 eV per cell
# Formation enthalpy at 0 K ... -50.7 eV per formula unit